Compound: Cr19S30
Source: the Materials Project database
Functional: GGA-PBE
Structure: relaxed

Lattice parameters (Å, degrees): 8.881 10.385 10.699 80.73 72.50 67.08
Atoms (fractional coordinates):
Cr (0.000, 0.000, 0.000)
Cr (0.025, 0.328, 0.990)
Cr (0.097, 0.201, 0.600)
Cr (0.197, 0.400, 0.198)
Cr (0.202, 0.066, 0.197)
Cr (0.215, 0.734, 0.185)
Cr (0.301, 0.600, 0.801)
Cr (0.380, 0.471, 0.413)
Cr (0.401, 0.804, 0.400)
Cr (0.419, 0.125, 0.386)
Cr (0.581, 0.875, 0.614)
Cr (0.599, 0.196, 0.600)
Cr (0.620, 0.529, 0.587)
Cr (0.699, 0.400, 0.199)
Cr (0.785, 0.266, 0.815)
Cr (0.798, 0.934, 0.803)
Cr (0.803, 0.600, 0.802)
Cr (0.903, 0.799, 0.400)
Cr (0.975, 0.672, 0.010)
S (0.074, 0.167, 0.834)
S (0.078, 0.828, 0.843)
S (0.080, 0.508, 0.838)
S (0.118, 0.572, 0.359)
S (0.125, 0.892, 0.359)
S (0.132, 0.230, 0.365)
S (0.270, 0.568, 0.033)
S (0.274, 0.909, 0.037)
S (0.282, 0.231, 0.044)
S (0.318, 0.973, 0.559)
S (0.322, 0.291, 0.562)
S (0.332, 0.632, 0.567)
S (0.472, 0.965, 0.236)
S (0.473, 0.310, 0.240)
S (0.476, 0.629, 0.245)
S (0.524, 0.371, 0.755)
S (0.527, 0.690, 0.760)
S (0.528, 0.035, 0.764)
S (0.668, 0.368, 0.433)
S (0.678, 0.709, 0.438)
S (0.682, 0.027, 0.441)
S (0.718, 0.769, 0.956)
S (0.726, 0.091, 0.963)
S (0.730, 0.432, 0.967)
S (0.868, 0.770, 0.635)
S (0.875, 0.108, 0.641)
S (0.882, 0.428, 0.641)
S (0.920, 0.492, 0.162)
S (0.922, 0.172, 0.157)
S (0.926, 0.833, 0.166)

Computed properties:
As for the total magnetization: 54.0 μB per cell. The symmetry is No. 2. For the raw total energy, the calculation gives -6.94 eV per atom.



Compound: Zr5Al3C
Source: the Materials Project database
Functional: GGA-PBE
Structure: relaxed

Lattice parameters (Å, degrees): 8.339 8.339 5.625 90.00 90.00 120.00
Atoms (fractional coordinates):
Zr (0.000, 0.224, 0.250)
Zr (0.000, 0.776, 0.750)
Zr (0.224, 0.000, 0.250)
Zr (0.224, 0.224, 0.750)
Zr (0.333, 0.667, 0.000)
Zr (0.333, 0.667, 0.500)
Zr (0.667, 0.333, 0.000)
Zr (0.667, 0.333, 0.500)
Zr (0.776, 0.000, 0.750)
Zr (0.776, 0.776, 0.250)
Al (0.000, 0.400, 0.750)
Al (0.000, 0.600, 0.250)
Al (0.400, 0.000, 0.750)
Al (0.400, 0.400, 0.250)
Al (0.600, 0.000, 0.250)
Al (0.600, 0.600, 0.750)
C (0.000, 0.000, 0.000)
C (0.000, 0.000, 0.500)

Computed properties:
As for the total magnetization: 0.0 μB per cell. The symmetry is No. 193. For the raw total energy, the calculation gives -7.53 eV per atom.